Below is crystalline KGdO2 at its relaxed geometry, with properties calculated at the r2SCAN level.

Properties
Spin magnetization in μB per cell: 21.00
VASP energy in eV for the cell shown: -219.34
Formation enthalpy at 0 K in meV per atom: -2938

```
data_KGdO2
_space_group_name_H-M_alt 'R -3 m'
_space_group_IT_number 166
_space_group_name_Hall '-R 3 2"'
_cell_length_a 3.5197
_cell_length_b 3.5197
_cell_length_c 18.5905
_cell_angle_alpha 90.00
_cell_angle_beta 90.00
_cell_angle_gamma 120.00
loop_
_atom_site_label
_atom_site_type_symbol
_atom_site_fract_x
_atom_site_fract_y
_atom_site_fract_z
K1 K 0.0000 0.0000 0.0000
Gd1 Gd 0.0000 0.0000 0.5000
O1 O 0.0000 0.0000 0.2298
```

Below is crystalline K3GdP2O8 at its relaxed geometry, with properties calculated at the r2SCAN level.

Properties
Spin magnetization in μB per cell: 14.00
VASP energy in eV for the cell shown: -333.72
Formation enthalpy at 0 K in meV per atom: -2830

```
data_K3GdP2O8
_space_group_name_H-M_alt 'P 1 21/m 1'
_space_group_IT_number 11
_cell_length_a 7.381
_cell_length_b 5.625
_cell_length_c 9.433
_cell_angle_alpha 90.00
_cell_angle_beta 90.83
_cell_angle_gamma 90.00
loop_
_space_group_symop_operation_xyz
'x,y,z'
'-x,-y,-z'
'-x,y+1/2,-z'
'x,-y+1/2,z'
loop_
_atom_site_label
_atom_site_type_symbol
_atom_site_fract_x
_atom_site_fract_y
_atom_site_fract_z
K1 K 0.007 0.250 0.191
K2 K 0.135 0.750 0.409
K3 K 0.299 0.250 0.918
Gd1 Gd 0.493 0.750 0.710
P1 P 0.268 0.750 0.088
P2 P 0.310 0.250 0.573
O1 O 0.063 0.750 0.102
O2 O 0.217 0.250 0.425
O3 O 0.255 0.026 0.657
O4 O 0.325 0.750 0.931
O5 O 0.348 0.527 0.162
O6 O 0.485 0.750 0.454
```